# 1
DFT (GGA-PBE) results for a geometry-optimized La2I5 structure.

extended XYZ file:
```
14
Lattice="4.4371 0.0000 0.0000 0.0000 9.2397 0.0000 0.0000 0.8197 14.9739" Properties=species:S:1:pos:R:3 pbc="T T T"
I 3.3279 6.5129 10.7676
I 3.3279 3.3259 7.6780
I 1.1093 1.1079 10.2941
I 1.1093 3.5465 4.2063
I 1.1093 3.9233 13.0981
I 3.3279 8.9515 4.6798
I 1.1093 8.7109 13.9117
I 3.3279 1.3485 1.0622
I 3.3279 6.1362 1.8757
I 1.1093 6.7336 7.2959
La 1.1093 4.3925 9.8300
La 3.3279 5.6669 5.1438
La 1.1093 8.4893 2.3055
La 3.3279 1.5702 12.6684
```

=====

# 2
DFT (GGA-PBE) results for a geometry-optimized Ca2EuBeO5 structure.

extended XYZ file:
```
36
Lattice="6.5297 0.0000 0.0000 0.0000 7.1842 0.0000 0.0000 0.0000 9.4209" Properties=species:S:1:pos:R:3 pbc="T T T"
Eu 0.6065 5.3881 9.2062
Eu 2.6584 5.3881 4.4958
Eu 5.9232 1.7960 0.2147
Eu 3.8713 1.7960 4.9251
O 0.8812 1.7960 2.0902
O 5.6485 5.3881 7.3307
O 2.0495 0.4225 4.0435
O 3.1050 5.3881 0.1072
O 3.4247 1.7960 9.3137
O 2.3837 1.7960 6.8007
O 0.1599 5.3881 4.8177
O 5.3143 6.7617 0.6669
O 1.0925 5.3881 2.0988
O 6.3698 1.7960 4.6032
O 4.4802 4.0146 5.3773
O 1.2154 0.4225 8.7540
O 2.0495 3.1696 4.0435
O 4.4802 6.7617 5.3773
O 4.1460 5.3881 2.6202
O 1.2154 3.1696 8.7540
O 5.4372 1.7960 7.3221
O 5.3143 4.0146 0.6669
O 2.1723 5.3881 6.8093
O 4.3574 1.7960 2.6116
Be 4.4993 5.3881 0.9903
Be 1.2345 1.7960 3.7201
Be 5.2952 5.3881 5.7008
Be 2.0304 1.7960 8.4306
Ca 6.0008 3.7636 3.0722
Ca 2.7360 3.4206 1.6383
Ca 0.5289 3.4206 6.3487
Ca 6.0008 7.0127 3.0722
Ca 2.7360 0.1715 1.6383
Ca 3.7937 3.7636 7.7826
Ca 3.7937 7.0127 7.7826
Ca 0.5289 0.1715 6.3487
```

=====

# 3
DFT (GGA-PBE) results for a geometry-optimized CsNa2H4Cl3O2 structure.

extended XYZ file:
```
24
Lattice="5.8920 0.0000 0.0000 2.9349 8.6039 0.0000 2.9279 2.0478 8.6038" Properties=species:S:1:pos:R:3 pbc="T T T"
Cl 7.4658 8.4254 7.9692
Cl 4.4883 7.6044 4.9456
Cl 7.2485 3.1026 3.6406
Cl 7.7426 6.9677 2.1115
Cl 4.2848 2.2249 0.6520
Cl 3.9934 3.6622 6.4725
H 9.2002 9.5501 7.4566
H 1.4367 1.3507 2.2031
H 4.4072 3.9852 2.0561
H 5.4516 4.2278 3.1783
H 7.3479 6.6586 6.5095
H 10.2911 9.3188 6.3774
H 6.2490 6.3815 5.4445
H 2.5103 1.0803 1.1139
O 1.7124 0.6720 1.5373
O 10.0137 9.9662 7.0723
O 7.0837 5.9954 5.8220
O 4.6782 4.6619 2.7281
Na 6.8762 3.6708 6.4245
Na 8.8116 5.3649 4.2786
Na 4.9412 6.9625 2.1239
Na 8.8044 2.0544 8.5772
Cs 4.3733 1.0214 4.2719
Cs 10.2623 6.3247 8.5854
```

=====

Number 1: E_tot -0.29444 Ry/atom, formation enthalpy at 0 K -12.45 eV/f.u.. Number 2: E_tot -0.54167 Ry/atom, formation enthalpy at 0 K -27.02 eV/f.u.. Number 3: E_tot -0.30474 Ry/atom, formation enthalpy at 0 K -18.58 eV/f.u..